# Ca2AlPt2

Ca2AlPt2 after structural relaxation (GGA-PBE, Materials Project).

Values from the calculation:
space-group type: C2/c (15)
E_form: -1.01 eV/atom
raw total energy: -49.9 eV/cell

Cell: 5.7256 5.7256 7.7667 Å, 100.30 100.30 60.35°
Atoms (fractional coordinates):
1 Ca 0.0183 0.2809 0.1485
2 Ca 0.2809 0.0183 0.6485
3 Ca 0.7191 0.9817 0.3515
4 Ca 0.9817 0.7191 0.8515
5 Al 0.3886 0.6114 0.2500
6 Al 0.6114 0.3886 0.7500
7 Pt 0.2368 0.5043 0.4960
8 Pt 0.4957 0.7632 0.0040
9 Pt 0.5043 0.2368 0.9960
10 Pt 0.7632 0.4957 0.5040



# SnO2

SnO2 after structural relaxation (GGA-PBE, Materials Project).

Values from the calculation:
space-group type: P1 (1)
E_form: -1.46 eV/atom
raw total energy: -538.8 eV/cell

Cell: 10.8441 10.9807 11.1539 Å, 97.32 92.58 91.64°
Atoms (fractional coordinates):
1 Sn 0.0000 0.0000 0.0000
2 Sn 0.0051 0.9809 0.5014
3 Sn 0.0188 0.4302 0.9851
4 Sn 0.0569 0.4733 0.7186
5 Sn 0.1077 0.6931 0.2852
6 Sn 0.1590 0.7330 0.9826
7 Sn 0.1996 0.0064 0.2777
8 Sn 0.2195 0.0107 0.7946
9 Sn 0.2217 0.3647 0.1963
10 Sn 0.2268 0.7442 0.5968
11 Sn 0.2396 0.2172 0.5806
12 Sn 0.3094 0.4874 0.4556
13 Sn 0.4236 0.7720 0.1675
14 Sn 0.4334 0.9788 0.4573
15 Sn 0.4569 0.8774 0.9056
16 Sn 0.5048 0.5705 0.8415
17 Sn 0.5115 0.1358 0.8098
18 Sn 0.5232 0.2335 0.1131
19 Sn 0.5307 0.5339 0.2504
20 Sn 0.5556 0.3393 0.5280
21 Sn 0.6936 0.0947 0.5587
22 Sn 0.7015 0.7781 0.3819
23 Sn 0.7117 0.9627 0.1306
24 Sn 0.7309 0.8847 0.8168
25 Sn 0.7556 0.3918 0.7837
26 Sn 0.8380 0.6598 0.9598
27 Sn 0.8698 0.5125 0.2559
28 Sn 0.8997 0.7247 0.5912
29 Sn 0.9212 0.2830 0.4798
30 Sn 0.9629 0.1719 0.7827
31 O 0.0050 0.1267 0.4070
32 O 0.0429 0.6131 0.6233
33 O 0.0623 0.8401 0.6012
34 O 0.0848 0.5211 0.1856
35 O 0.0858 0.3306 0.8149
36 O 0.0870 0.8869 0.3487
37 O 0.0982 0.1133 0.8943
38 O 0.0975 0.3003 0.0666
39 O 0.1018 0.3385 0.5744
40 O 0.1051 0.8773 0.8980
41 O 0.1116 0.0860 0.6495
42 O 0.1490 0.5554 0.9043
43 O 0.1507 0.0347 0.1184
44 O 0.1971 0.3505 0.3693
45 O 0.2146 0.6498 0.4237
46 O 0.2239 0.7571 0.1677
47 O 0.2768 0.0997 0.4330
48 O 0.2944 0.8437 0.7576
49 O 0.2964 0.5813 0.6275
50 O 0.3066 0.8823 0.5210
51 O 0.3362 0.1443 0.7178
52 O 0.3403 0.5094 0.2614
53 O 0.3433 0.7623 0.9805
54 O 0.3525 0.2367 0.1697
55 O 0.3688 0.3504 0.5703
56 O 0.3743 0.0409 0.9116
57 O 0.3751 0.9393 0.2757
58 O 0.4875 0.6092 0.0949
59 O 0.5027 0.4724 0.4298
60 O 0.5114 0.7272 0.3291
61 O 0.5137 0.1524 0.5175
62 O 0.5197 0.9738 0.6706
63 O 0.5239 0.2742 0.9421
64 O 0.5361 0.8808 0.0811
65 O 0.5661 0.7585 0.8130
66 O 0.6119 0.0077 0.9022
67 O 0.6121 0.4468 0.6819
68 O 0.6135 0.3798 0.1962
69 O 0.6175 0.9538 0.4282
70 O 0.6253 0.1155 0.1863
71 O 0.6519 0.9459 0.6580
72 O 0.6580 0.2099 0.7230
73 O 0.6895 0.5423 0.8988
74 O 0.7112 0.6008 0.2779
75 O 0.7246 0.2507 0.4748
76 O 0.7305 0.6757 0.5210
77 O 0.7676 0.8305 0.9851
78 O 0.7689 0.8497 0.2436
79 O 0.8440 0.7463 0.7670
80 O 0.8458 0.8843 0.5059
81 O 0.8607 0.2922 0.8918
82 O 0.8650 0.5092 0.0728
83 O 0.8744 0.0519 0.1138
84 O 0.8788 0.0143 0.8408
85 O 0.8802 0.1218 0.6101
86 O 0.8846 0.3843 0.6458
87 O 0.9060 0.3699 0.3361
88 O 0.9184 0.5224 0.8469
89 O 0.9468 0.6633 0.3622
90 O 0.9912 0.7376 0.0565



# La2SiS5

La2SiS5 after structural relaxation (GGA-PBE, Materials Project).

Values from the calculation:
space-group type: P2_1/c (14)
E_form: -1.78 eV/atom
raw total energy: -190.9 eV/cell
polymorph energy (0 for the lowest one): 190 meV per atom

Cell: 8.7109 8.2165 12.4944 Å, 90.00 92.87 90.00°
Atoms (fractional coordinates):
1 La 0.0123 0.0557 0.1634
2 La 0.0123 0.4443 0.6634
3 La 0.2439 0.0767 0.5055
4 La 0.2439 0.4233 0.0055
5 La 0.7561 0.5767 0.9945
6 La 0.7561 0.9233 0.4945
7 La 0.9877 0.5557 0.3366
8 La 0.9877 0.9443 0.8366
9 Si 0.4549 0.7194 0.2817
10 Si 0.4549 0.7806 0.7817
11 Si 0.5451 0.2194 0.2183
12 Si 0.5451 0.2806 0.7183
13 S 0.0252 0.6013 0.8717
14 S 0.0252 0.8987 0.3717
15 S 0.1826 0.0925 0.9829
16 S 0.1826 0.4075 0.4829
17 S 0.2563 0.6735 0.1917
18 S 0.2563 0.8265 0.6917
19 S 0.3315 0.1766 0.2729
20 S 0.3315 0.3234 0.7729
21 S 0.4429 0.7020 0.9373
22 S 0.4429 0.7980 0.4373
23 S 0.5571 0.2020 0.5627
24 S 0.5571 0.2980 0.0627
25 S 0.6685 0.6766 0.2271
26 S 0.6685 0.8234 0.7271
27 S 0.7437 0.1735 0.3083
28 S 0.7437 0.3265 0.8083
29 S 0.8174 0.5925 0.5171
30 S 0.8174 0.9075 0.0171
31 S 0.9748 0.1013 0.6283
32 S 0.9748 0.3987 0.1283



# V3Ag2TeS6

V3Ag2TeS6 after structural relaxation (GGA-PBE, Materials Project).

Values from the calculation:
space-group type: P-62m (189)
E_form: -0.97 eV/atom
raw total energy: -69.5 eV/cell

Cell: 5.5490 5.5490 8.0887 Å, 90.00 90.00 120.00°
Atoms (fractional coordinates):
1 V 0.0000 0.3413 0.0000
2 V 0.3413 0.0000 0.0000
3 V 0.6587 0.6587 0.0000
4 Ag 0.3333 0.6667 0.5000
5 Ag 0.6667 0.3333 0.5000
6 Te 0.0000 0.0000 0.5000
7 S 0.0000 0.0000 0.1717
8 S 0.0000 0.0000 0.8283
9 S 0.3333 0.6667 0.1821
10 S 0.3333 0.6667 0.8179
11 S 0.6667 0.3333 0.1821
12 S 0.6667 0.3333 0.8179



# TmB4Rh4

TmB4Rh4 after structural relaxation (GGA-PBE, Materials Project).

Values from the calculation:
space-group type: P4_2/nmc (137)
E_form: -0.58 eV/atom
raw total energy: -131.7 eV/cell
polymorph energy (0 for the lowest one): 3 meV per atom

Cell: 5.3259 5.3259 7.4452 Å, 90.00 90.00 90.00°
Atoms (fractional coordinates):
1 Tm 0.2500 0.7500 0.2500
2 Tm 0.7500 0.2500 0.7500
3 B 0.0815 0.2500 0.1017
4 B 0.2500 0.0815 0.6017
5 B 0.2500 0.4185 0.6017
6 B 0.4185 0.2500 0.1017
7 B 0.5815 0.7500 0.8983
8 B 0.7500 0.5815 0.3983
9 B 0.7500 0.9185 0.3983
10 B 0.9185 0.7500 0.8983
11 Rh 0.0016 0.7500 0.6044
12 Rh 0.2500 0.5016 0.8956
13 Rh 0.2500 0.9984 0.8956
14 Rh 0.4984 0.7500 0.6044
15 Rh 0.5016 0.2500 0.3956
16 Rh 0.7500 0.0016 0.1044
17 Rh 0.7500 0.4984 0.1044
18 Rh 0.9984 0.2500 0.3956



# Tm2RuRh

Tm2RuRh after structural relaxation (GGA-PBE, Materials Project).

Values from the calculation:
space-group type: Fm-3m (225)
E_form: -0.73 eV/atom
raw total energy: -28.5 eV/cell

Cell: 4.7670 4.7670 4.7670 Å, 60.00 60.00 60.00°
Atoms (fractional coordinates):
1 Tm 0.2500 0.2500 0.2500
2 Tm 0.7500 0.7500 0.7500
3 Ru 0.0000 0.0000 0.0000
4 Rh 0.5000 0.5000 0.5000



# CaH2O2

CaH2O2 after structural relaxation (GGA-PBE, Materials Project).

Values from the calculation:
space-group type: P3m1 (156)
E_form: -1.98 eV/atom
raw total energy: -27.2 eV/cell
polymorph energy (0 for the lowest one): 188 meV per atom

Cell: 3.8691 3.8691 4.6230 Å, 90.00 90.00 120.00°
Atoms (fractional coordinates):
1 Ca 0.0000 0.0000 0.0000
2 H 0.3333 0.6667 0.0328
3 H 0.6667 0.3333 0.4441
4 O 0.3333 0.6667 0.8200
5 O 0.6667 0.3333 0.2329



# Te3Pb2O8

Te3Pb2O8 after structural relaxation (GGA-PBE, Materials Project).

Values from the calculation:
space-group type: Cmcm (63)
E_form: -1.56 eV/atom
raw total energy: -427.1 eV/cell

Cell: 10.6855 10.6855 19.2372 Å, 90.00 90.00 39.53°
Atoms (fractional coordinates):
1 Te 0.0358 0.7307 0.0837
2 Te 0.0358 0.7307 0.4163
3 Te 0.1031 0.8969 0.7500
4 Te 0.2693 0.9642 0.0837
5 Te 0.2693 0.9642 0.4163
6 Te 0.2947 0.7053 0.5749
7 Te 0.2947 0.7053 0.9251
8 Te 0.3240 0.4486 0.2500
9 Te 0.4486 0.3240 0.7500
10 Te 0.5514 0.6760 0.2500
11 Te 0.6760 0.5514 0.7500
12 Te 0.7053 0.2947 0.0749
13 Te 0.7053 0.2947 0.4251
14 Te 0.7307 0.0358 0.5837
15 Te 0.7307 0.0358 0.9163
16 Te 0.8969 0.1031 0.2500
17 Te 0.9642 0.2693 0.5837
18 Te 0.9642 0.2693 0.9163
19 Pb 0.1813 0.1982 0.2500
20 Pb 0.1819 0.4366 0.5897
21 Pb 0.1819 0.4366 0.9103
22 Pb 0.1982 0.1813 0.7500
23 Pb 0.4366 0.1819 0.0897
24 Pb 0.4366 0.1819 0.4103
25 Pb 0.5634 0.8181 0.5897
26 Pb 0.5634 0.8181 0.9103
27 Pb 0.8018 0.8187 0.2500
28 Pb 0.8181 0.5634 0.0897
29 Pb 0.8181 0.5634 0.4103
30 Pb 0.8187 0.8018 0.7500
31 O 0.0094 0.1345 0.7500
32 O 0.0855 0.9145 0.6366
33 O 0.0855 0.9145 0.8634
34 O 0.0874 0.0874 0.0000
35 O 0.0874 0.0874 0.5000
36 O 0.1257 0.5195 0.0324
37 O 0.1257 0.5195 0.4676
38 O 0.1345 0.0094 0.2500
39 O 0.1454 0.2075 0.1158
40 O 0.1454 0.2075 0.3842
41 O 0.1498 0.5220 0.1786
42 O 0.1498 0.5220 0.3214
43 O 0.1791 0.4857 0.7500
44 O 0.2075 0.1454 0.6158
45 O 0.2075 0.1454 0.8842
46 O 0.3557 0.5001 0.6134
47 O 0.3557 0.5001 0.8866
48 O 0.4780 0.8502 0.1786
49 O 0.4780 0.8502 0.3214
50 O 0.4805 0.8743 0.0324
51 O 0.4805 0.8743 0.4676
52 O 0.4857 0.1791 0.2500
53 O 0.5001 0.3557 0.1134
54 O 0.5001 0.3557 0.3866
55 O 0.4999 0.6443 0.6134
56 O 0.4999 0.6443 0.8866
57 O 0.5143 0.8209 0.7500
58 O 0.5195 0.1257 0.5324
59 O 0.5195 0.1257 0.9676
60 O 0.5220 0.1498 0.6786
61 O 0.5220 0.1498 0.8214
62 O 0.6443 0.4999 0.1134
63 O 0.6443 0.4999 0.3866
64 O 0.7925 0.8546 0.1158
65 O 0.7925 0.8546 0.3842
66 O 0.8209 0.5143 0.2500
67 O 0.8502 0.4780 0.6786
68 O 0.8502 0.4780 0.8214
69 O 0.8546 0.7925 0.6158
70 O 0.8546 0.7925 0.8842
71 O 0.8655 0.9906 0.7500
72 O 0.8743 0.4805 0.5324
73 O 0.8743 0.4805 0.9676
74 O 0.9126 0.9126 0.0000
75 O 0.9126 0.9126 0.5000
76 O 0.9145 0.0855 0.1366
77 O 0.9145 0.0855 0.3634
78 O 0.9906 0.8655 0.2500